Entry from the Materials Project: a geometry-optimized Li11Ti24O48 structure (PBE).

Total DFT energy (no corrections) = -685.4 eV/cell
Symmetry = Cm (8)
Magnetic moment = 0.39 μB/f.u.
Energy relative to the elements = -314.3 kJ/mol of atoms

Lattice parameters (Å, degrees): 10.365 10.365 10.365 80.41 80.41 120.00
Positions (direct):
1 Li 0.458 0.792 0.625
2 Li 0.167 0.833 0.500
3 Li 0.792 0.458 0.625
4 Li 0.291 0.958 0.125
5 Li 0.500 0.500 0.500
6 Li 0.833 0.167 0.500
7 Li 0.333 0.667 0.000
8 Li 0.125 0.125 0.626
9 Li 0.626 0.626 0.125
10 Li 0.958 0.291 0.125
11 Li 0.667 0.333 0.000
12 Ti 0.731 0.897 0.814
13 Ti 0.227 0.896 0.814
14 Ti 0.897 0.731 0.814
15 Ti 0.228 0.393 0.814
16 Ti 0.063 0.563 0.812
17 Ti 0.731 0.896 0.311
18 Ti 0.563 0.563 0.812
19 Ti 0.896 0.227 0.814
20 Ti 0.812 0.812 0.563
21 Ti 0.648 0.980 0.061
22 Ti 0.146 0.479 0.563
23 Ti 0.396 0.730 0.313
24 Ti 0.393 0.228 0.814
25 Ti 0.896 0.731 0.311
26 Ti 0.062 0.562 0.313
27 Ti 0.230 0.396 0.313
28 Ti 0.563 0.063 0.812
29 Ti 0.730 0.396 0.313
30 Ti 0.980 0.648 0.061
31 Ti 0.479 0.146 0.563
32 Ti 0.396 0.230 0.313
33 Ti 0.562 0.062 0.313
34 Ti 0.061 0.061 0.311
35 Ti 0.311 0.311 0.061
36 O 0.539 0.872 0.931
37 O 0.619 0.769 0.694
38 O 0.436 0.952 0.694
39 O 0.023 0.836 0.930
40 O 0.173 0.689 0.931
41 O 0.357 0.507 0.931
42 O 0.872 0.539 0.931
43 O 0.098 0.765 0.706
44 O 0.693 0.693 0.919
45 O 0.252 0.586 0.694
46 O 0.919 0.919 0.693
47 O 0.527 0.860 0.419
48 O 0.027 0.361 0.919
49 O 0.769 0.619 0.694
50 O 0.952 0.436 0.694
51 O 0.452 0.935 0.194
52 O 0.602 0.785 0.194
53 O 0.102 0.286 0.693
54 O 0.007 0.856 0.432
55 O 0.507 0.357 0.931
56 O 0.689 0.173 0.931
57 O 0.340 0.523 0.431
58 O 0.189 0.673 0.431
59 O 0.836 0.023 0.930
60 O 0.211 0.211 0.930
61 O 0.706 0.706 0.432
62 O 0.039 0.373 0.431
63 O 0.432 0.432 0.706
64 O 0.765 0.098 0.706
65 O 0.930 0.930 0.211
66 O 0.265 0.598 0.206
67 O 0.860 0.527 0.419
68 O 0.361 0.027 0.919
69 O 0.086 0.752 0.194
70 O 0.586 0.252 0.694
71 O 0.785 0.602 0.194
72 O 0.935 0.452 0.194
73 O 0.286 0.102 0.693
74 O 0.119 0.269 0.194
75 O 0.523 0.340 0.431
76 O 0.673 0.189 0.431
77 O 0.856 0.007 0.432
78 O 0.598 0.265 0.206
79 O 0.373 0.039 0.431
80 O 0.194 0.194 0.419
81 O 0.419 0.419 0.194
82 O 0.752 0.086 0.194
83 O 0.269 0.119 0.194